--- a ---
# CsHgCl3

Crystalline CsHgCl3 at its relaxed geometry (PBE, the Materials Project database).

a b c (Å): 9.552 15.708 10.969
angles (deg): 90.00 124.92 90.00
Space group P2_1/c (No. 14)
Unique sites:
Cs  0.000  0.000  0.000
Cs  0.000  0.000  0.500
Cs  0.496  0.248  0.253
Hg  0.007  0.243  0.757
Hg  0.500  0.000  0.000
Hg  0.500  0.000  0.500
Cl  0.021  0.749  0.507
Cl  0.221  0.135  0.361
Cl  0.232  0.633  0.863
Cl  0.260  0.125  0.887
Cl  0.275  0.610  0.385
Cl  0.491  0.002  0.713

Mass density   4.3 g/cm³

---

--- b ---
# CsHgCl3

Crystalline CsHgCl3 at its relaxed geometry (PBE, the Materials Project database).

a b c (Å): 6.430 6.430 8.835
angles (deg): 90.00 90.00 90.00
Space group P-42_1m (No. 113)
Unique sites:
Cs  0.000  0.000  0.000
Hg  0.000  0.500  0.380
Cl  0.000  0.500  0.060
Cl  0.237  0.263  0.625

Mass density   4.0 g/cm³

---

Energies in kJ/mol of atoms, measured from the most stable structure: a 0.0; b 5.9.

---

--- a ---
# TiBi2O5

Crystalline TiBi2O5 at its relaxed geometry (PBE, the Materials Project database).

a b c (Å): 10.902 3.875 11.625
angles (deg): 90.00 90.00 90.00
Space group Pnma (No. 62)
Unique sites:
Ti  0.184  0.250  0.123
Bi  0.107  0.250  0.778
Bi  0.137  0.250  0.448
O  0.001  0.750  0.397
O  0.026  0.250  0.158
O  0.227  0.750  0.766
O  0.228  0.250  0.964
O  0.240  0.750  0.120

Mass density   7.4 g/cm³

---

--- b ---
# TiBi2O5

Crystalline TiBi2O5 at its relaxed geometry (PBE, the Materials Project database).

a b c (Å): 4.068 12.331 10.422
angles (deg): 90.00 90.00 90.00
Space group Cmcm (No. 63)
Unique sites:
Ti  0.000  0.164  0.250
Bi  0.000  0.143  0.574
O  0.000  0.063  0.120
O  0.000  0.277  0.084
O  0.000  0.291  0.750

Mass density   6.9 g/cm³

---

Energies in kJ/mol of atoms, measured from the most stable structure: a 0.0; b 7.3.

---

--- a ---
# LiNb2Te4Cl10O

Crystalline LiNb2Te4Cl10O at its relaxed geometry (PBE, the Materials Project database).

a b c (Å): 6.965 8.836 9.538
angles (deg): 97.58 90.04 105.68
Space group P1 (No. 1)
Unique sites:
Li  0.000  0.000  0.000
Nb  0.574  0.563  0.937
Nb  0.624  0.295  0.214
Te  0.011  0.122  0.584
Te  0.185  0.736  0.567
Te  0.289  0.027  0.735
Te  0.913  0.833  0.416
Cl  0.246  0.403  0.859
Cl  0.290  0.122  0.152
Cl  0.443  0.717  0.111
Cl  0.496  0.441  0.393
Cl  0.563  0.750  0.771
Cl  0.654  0.100  0.371
Cl  0.714  0.414  0.762
Cl  0.751  0.134  0.022
Cl  0.916  0.725  0.009
Cl  0.956  0.444  0.282
O  0.598  0.425  0.075

Mass density   3.2 g/cm³

---

--- b ---
# LiNb2Te4Cl10O

Crystalline LiNb2Te4Cl10O at its relaxed geometry (PBE, the Materials Project database).

a b c (Å): 7.143 8.908 9.465
angles (deg): 81.17 89.76 75.54
Space group P1 (No. 1)
Unique sites:
Li  0.000  0.000  0.000
Nb  0.886  0.014  0.365
Nb  0.926  0.298  0.625
Te  0.241  0.736  0.819
Te  0.324  0.457  0.008
Te  0.505  0.839  0.969
Te  0.595  0.556  0.151
Cl  0.025  0.165  0.167
Cl  0.068  0.439  0.448
Cl  0.200  0.853  0.416
Cl  0.236  0.125  0.713
Cl  0.574  0.177  0.271
Cl  0.609  0.439  0.561
Cl  0.741  0.850  0.518
Cl  0.786  0.128  0.806
Cl  0.862  0.838  0.168
Cl  0.952  0.464  0.797
O  0.908  0.149  0.492

Mass density   3.1 g/cm³

---

Energies in kJ/mol of atoms, measured from the most stable structure: a 1.1; b 0.0.

---

--- a ---
# Te2MoW2Se2S2

Crystalline Te2MoW2Se2S2 at its relaxed geometry (PBE, the Materials Project database).

a b c (Å): 3.3452 3.3452 31.0082
angles (deg): 90.00 90.00 120.00
Space group P3m1 (No. 156)
Unique sites:
Te  0.0000  0.0000  0.0000
Te  0.0000  0.0000  0.1222
Mo  0.3333  0.6667  0.0611
W  0.0000  0.0000  0.2925
W  0.0000  0.0000  0.8298
Se  0.3333  0.6667  0.2385
Se  0.3333  0.6667  0.3464
S  0.3333  0.6667  0.7807
S  0.3333  0.6667  0.8789

Mass density   5.2 g/cm³

---

--- b ---
# Te2MoW2Se2S2

Crystalline Te2MoW2Se2S2 at its relaxed geometry (PBE, the Materials Project database).

a b c (Å): 3.3502 3.3502 32.0487
angles (deg): 90.00 90.00 120.00
Space group P3m1 (No. 156)
Unique sites:
Te  0.0000  0.0000  0.0000
Te  0.0000  0.0000  0.1189
Mo  0.6667  0.3333  0.5932
W  0.0000  0.0000  0.8283
W  0.6667  0.3333  0.0594
Se  0.0000  0.0000  0.5412
Se  0.0000  0.0000  0.6452
S  0.6667  0.3333  0.7808
S  0.6667  0.3333  0.8758

Mass density   5.0 g/cm³

---

Energies in kJ/mol of atoms, measured from the most stable structure: a 0.0; b 2.6.

---

--- a ---
# TeMoWSeS2

Crystalline TeMoWSeS2 at its relaxed geometry (PBE, the Materials Project database).

a b c (Å): 3.3043 3.3043 37.6140
angles (deg): 90.00 90.00 120.00
Space group P3m1 (No. 156)
Unique sites:
Te  0.0000  0.0000  0.0000
Te  0.0000  0.0000  0.1016
Mo  0.0000  0.0000  0.2388
Mo  0.6667  0.3333  0.0508
W  0.0000  0.0000  0.6144
W  0.6667  0.3333  0.4266
Se  0.6667  0.3333  0.1941
Se  0.6667  0.3333  0.2834
S  0.0000  0.0000  0.3858
S  0.0000  0.0000  0.4674
S  0.6667  0.3333  0.5736
S  0.6667  0.3333  0.6552

Mass density   5.1 g/cm³

---

--- b ---
# TeMoWSeS2

Crystalline TeMoWSeS2 at its relaxed geometry (PBE, the Materials Project database).

a b c (Å): 3.3090 3.3090 37.6148
angles (deg): 90.00 90.00 120.00
Space group P3m1 (No. 156)
Unique sites:
Te  0.0000  0.0000  0.0000
Te  0.0000  0.0000  0.1023
Mo  0.0000  0.0000  0.4875
Mo  0.3333  0.6667  0.6754
W  0.0000  0.0000  0.8632
W  0.3333  0.6667  0.0512
Se  0.3333  0.6667  0.4429
Se  0.3333  0.6667  0.5321
S  0.0000  0.0000  0.6348
S  0.0000  0.0000  0.7160
S  0.3333  0.6667  0.8225
S  0.3333  0.6667  0.9040

Mass density   5.1 g/cm³

---

--- c ---
# TeMoWSeS2

Crystalline TeMoWSeS2 at its relaxed geometry (PBE, the Materials Project database).

a b c (Å): 3.3062 3.3062 37.6412
angles (deg): 90.00 90.00 120.00
Space group P3m1 (No. 156)
Unique sites:
Te  0.0000  0.0000  0.0000
Te  0.0000  0.0000  0.1016
Mo  0.0000  0.0000  0.4872
Mo  0.3333  0.6667  0.0508
W  0.0000  0.0000  0.8629
W  0.3333  0.6667  0.6750
Se  0.0000  0.0000  0.6302
Se  0.0000  0.0000  0.7199
S  0.3333  0.6667  0.4466
S  0.3333  0.6667  0.5278
S  0.3333  0.6667  0.8221
S  0.3333  0.6667  0.9036

Mass density   5.1 g/cm³

---

Energies in kJ/mol of atoms, measured from the most stable structure: a 0.0; b 3.5; c 1.5.

---

--- a ---
# Ba6MgNb2IrCl2O12

Crystalline Ba6MgNb2IrCl2O12 at its relaxed geometry (PBE, the Materials Project database).

a b c (Å): 10.360 5.981 15.845
angles (deg): 90.00 90.04 90.00
Space group Cm (No. 8)
Unique sites:
Ba  0.000  0.000  0.000
Ba  0.000  0.000  0.237
Ba  0.000  0.000  0.609
Ba  0.167  0.500  0.150
Ba  0.167  0.500  0.413
Ba  0.167  0.500  0.734
Mg  0.000  0.000  0.424
Nb  0.333  0.000  0.559
Nb  0.334  0.000  0.183
Ir  0.334  0.000  0.367
Cl  0.000  0.000  0.798
Cl  0.167  0.500  0.945
O  0.173  0.000  0.118
O  0.181  0.000  0.460
O  0.253  0.240  0.619
O  0.258  0.227  0.277
O  0.410  0.230  0.461
O  0.414  0.242  0.118
O  0.485  0.000  0.277
O  0.493  0.000  0.619

Mass density   5.0 g/cm³

---

--- b ---
# Ba6MgNb2IrCl2O12

Crystalline Ba6MgNb2IrCl2O12 at its relaxed geometry (PBE, the Materials Project database).

a b c (Å): 10.766 5.931 15.574
angles (deg): 90.00 97.02 90.00
Space group Cm (No. 8)
Unique sites:
Ba  0.000  0.000  0.000
Ba  0.004  0.000  0.586
Ba  0.063  0.000  0.247
Ba  0.121  0.500  0.453
Ba  0.144  0.500  0.857
Ba  0.206  0.500  0.130
Mg  0.373  0.500  0.376
Nb  0.313  0.000  0.392
Nb  0.348  0.000  0.031
Ir  0.353  0.000  0.217
Cl  0.004  0.000  0.796
Cl  0.141  0.500  0.652
O  0.008  0.500  0.985
O  0.146  0.000  0.434
O  0.201  0.000  0.115
O  0.272  0.251  0.968
O  0.284  0.260  0.294
O  0.387  0.260  0.468
O  0.424  0.231  0.134
O  0.489  0.000  0.318

Mass density   5.0 g/cm³

---

Energies in kJ/mol of atoms, measured from the most stable structure: a 2.8; b 0.0.

---

--- a ---
# RbPH2O4

Crystalline RbPH2O4 at its relaxed geometry (PBE, the Materials Project database).

a b c (Å): 7.668 6.275 9.682
angles (deg): 90.00 108.44 90.00
Space group P2_1/c (No. 14)
Unique sites:
Rb  0.237  0.243  0.219
P  0.258  0.746  0.481
H  0.136  0.736  0.163
H  0.500  0.000  0.000
H  0.500  0.000  0.500
O  0.099  0.741  0.553
O  0.168  0.691  0.321
O  0.345  0.527  0.005
O  0.403  0.578  0.563

Mass density   2.7 g/cm³

---

--- b ---
# RbPH2O4

Crystalline RbPH2O4 at its relaxed geometry (PBE, the Materials Project database).

a b c (Å): 10.955 11.081 7.368
angles (deg): 90.00 90.00 90.00
Space group Fdd2 (No. 43)
Unique sites:
Rb  0.000  0.000  0.000
P  0.000  0.000  0.483
H  0.044  0.177  0.615
O  0.025  0.388  0.114
O  0.115  0.024  0.372

Largest piezoelectric modulus   0.15 C/m²
Mass density   2.7 g/cm³

---

Energies in kJ/mol of atoms, measured from the most stable structure: a 0.7; b 0.0.